(1)
A plane-wave DFT calculation with PBE-GGA was carried out for Na2SnH6O6 after structural relaxation.

For the MP2020-corrected energy, the calculation gives -5.311 eV per atom.

Structure (CIF):
```
data_Na2SnH6O6
_chemical_formula_sum 'Na2 Sn1 H6 O6'
_space_group_name_H-M_alt 'P 1'
_space_group_IT_number 1
_space_group_name_Hall 'P 1'
_cell_length_a 5.935
_cell_length_b 5.935
_cell_length_c 5.935
_cell_angle_alpha 67.84
_cell_angle_beta 67.84
_cell_angle_gamma 67.84
loop_
_atom_site_label
_atom_site_fract_x
_atom_site_fract_y
_atom_site_fract_z
_atom_site_occupancy
Na1 0.617 0.617 0.617 1
Na2 0.383 0.383 0.383 1
Sn1 0.000 0.000 0.000 1
H1 0.089 0.835 0.453 1
H2 0.453 0.089 0.835 1
H3 0.835 0.453 0.089 1
H4 0.911 0.165 0.547 1
H5 0.547 0.911 0.165 1
H6 0.165 0.547 0.911 1
O1 0.292 0.175 0.794 1
O2 0.794 0.292 0.175 1
O3 0.175 0.794 0.292 1
O4 0.708 0.825 0.206 1
O5 0.206 0.708 0.825 1
O6 0.825 0.206 0.708 1
```

(2)
A plane-wave DFT calculation with PBE-GGA was carried out for Na5La2Mg2P3S3O24 after structural relaxation.

For the MP2020-corrected energy, the calculation gives -6.954 eV per atom.

Structure (CIF):
```
data_Na5La2Mg2P3S3O24
_chemical_formula_sum 'Na15 La6 Mg6 P9 S9 O72'
_space_group_name_H-M_alt 'P 1'
_space_group_IT_number 1
_space_group_name_Hall 'P 1'
_cell_length_a 9.401
_cell_length_b 9.302
_cell_length_c 23.484
_cell_angle_alpha 89.68
_cell_angle_beta 90.51
_cell_angle_gamma 120.00
loop_
_atom_site_label
_atom_site_fract_x
_atom_site_fract_y
_atom_site_fract_z
_atom_site_occupancy
Na1 0.636 0.019 0.253 1
Na2 0.000 0.633 0.241 1
Na3 0.626 0.626 0.742 1
Na4 0.993 0.347 0.744 1
Na5 0.301 0.350 0.586 1
Na6 0.668 0.967 0.577 1
Na7 0.297 0.954 0.080 1
Na8 0.691 0.027 0.910 1
Na9 0.961 0.283 0.413 1
Na10 0.974 0.965 0.490 1
Na11 0.010 0.982 0.990 1
Na12 0.624 0.302 0.823 1
Na13 0.634 0.311 0.325 1
Na14 0.309 0.632 0.157 1
Na15 0.326 0.667 0.657 1
La1 0.001 0.998 0.652 1
La2 0.004 0.009 0.150 1
La3 0.676 0.352 0.984 1
La4 0.672 0.340 0.484 1
La5 0.340 0.672 0.319 1
La6 0.333 0.676 0.818 1
Mg1 0.009 0.009 0.345 1
Mg2 0.035 0.017 0.849 1
Mg3 0.664 0.329 0.682 1
Mg4 0.673 0.339 0.183 1
Mg5 0.303 0.660 0.016 1
Mg6 0.342 0.672 0.515 1
P1 0.307 0.015 0.250 1
P2 0.982 0.298 0.254 1
P3 0.312 0.300 0.749 1
P4 0.709 0.015 0.753 1
P5 0.979 0.349 0.585 1
P6 0.648 0.629 0.587 1
P7 0.982 0.632 0.089 1
P8 0.322 0.966 0.922 1
P9 0.651 0.965 0.419 1
S1 0.711 0.696 0.252 1
S2 0.980 0.686 0.753 1
S3 0.377 0.029 0.585 1
S4 0.648 0.023 0.084 1
S5 0.379 0.350 0.085 1
S6 0.642 0.688 0.917 1
S7 0.038 0.352 0.917 1
S8 0.314 0.353 0.420 1
S9 0.045 0.682 0.417 1
O1 0.206 0.023 0.300 1
O2 0.818 0.786 0.301 1
O3 0.968 0.194 0.308 1
O4 0.213 0.186 0.798 1
O5 0.976 0.783 0.802 1
O6 0.819 0.030 0.805 1
O7 0.784 0.988 0.698 1
O8 0.220 0.235 0.691 1
O9 0.009 0.779 0.699 1
O10 0.780 0.794 0.199 1
O11 0.001 0.214 0.201 1
O12 0.210 0.982 0.193 1
O13 0.887 0.357 0.638 1
O14 0.483 0.118 0.635 1
O15 0.636 0.527 0.641 1
O16 0.892 0.537 0.143 1
O17 0.637 0.117 0.134 1
O18 0.480 0.362 0.135 1
O19 0.451 0.324 0.033 1
O20 0.880 0.547 0.035 1
O21 0.668 0.119 0.031 1
O22 0.446 0.126 0.533 1
O23 0.664 0.543 0.534 1
O24 0.873 0.318 0.531 1
O25 0.541 0.692 0.964 1
O26 0.142 0.451 0.965 1
O27 0.306 0.861 0.976 1
O28 0.553 0.863 0.471 1
O29 0.304 0.444 0.471 1
O30 0.150 0.691 0.466 1
O31 0.111 0.659 0.363 1
O32 0.557 0.890 0.362 1
O33 0.334 0.451 0.368 1
O34 0.102 0.440 0.862 1
O35 0.352 0.884 0.870 1
O36 0.555 0.667 0.861 1
O37 0.028 0.832 0.414 1
O38 0.824 0.982 0.416 1
O39 0.157 0.192 0.416 1
O40 0.023 0.186 0.916 1
O41 0.169 0.983 0.914 1
O42 0.802 0.846 0.916 1
O43 0.001 0.192 0.587 1
O44 0.210 0.006 0.590 1
O45 0.797 0.810 0.587 1
O46 0.012 0.814 0.087 1
O47 0.790 0.997 0.088 1
O48 0.212 0.198 0.088 1
O49 0.700 0.177 0.746 1
O50 0.488 0.326 0.746 1
O51 0.822 0.526 0.749 1
O52 0.701 0.531 0.247 1
O53 0.820 0.307 0.248 1
O54 0.483 0.168 0.246 1
O55 0.671 0.545 0.920 1
O56 0.866 0.324 0.921 1
O57 0.485 0.138 0.924 1
O58 0.678 0.147 0.420 1
O59 0.455 0.326 0.423 1
O60 0.879 0.530 0.421 1
O61 0.362 0.500 0.080 1
O62 0.154 0.646 0.084 1
O63 0.492 0.861 0.081 1
O64 0.369 0.865 0.580 1
O65 0.488 0.642 0.581 1
O66 0.153 0.503 0.579 1
O67 0.331 0.858 0.255 1
O68 0.544 0.674 0.257 1
O69 0.129 0.479 0.256 1
O70 0.327 0.476 0.754 1
O71 0.115 0.645 0.757 1
O72 0.535 0.857 0.755 1
```

(3)
A plane-wave DFT calculation with PBE-GGA was carried out for Rb2PaF7 after structural relaxation.

For the MP2020-corrected energy, the calculation gives -6.282 eV per atom.

Structure (CIF):
```
data_Rb2PaF7
_chemical_formula_sum 'Rb4 Pa2 F14'
_space_group_name_H-M_alt 'P 1'
_space_group_IT_number 1
_space_group_name_Hall 'P 1'
_cell_length_a 8.004
_cell_length_b 8.004
_cell_length_c 8.315
_cell_angle_alpha 59.37
_cell_angle_beta 59.37
_cell_angle_gamma 52.46
loop_
_atom_site_label
_atom_site_fract_x
_atom_site_fract_y
_atom_site_fract_z
_atom_site_occupancy
Rb1 0.319 0.338 0.112 1
Rb2 0.662 0.681 0.388 1
Rb3 0.681 0.662 0.888 1
Rb4 0.338 0.319 0.612 1
Pa1 0.025 0.975 0.250 1
Pa2 0.975 0.025 0.750 1
F1 0.946 0.714 0.484 1
F2 0.286 0.054 0.016 1
F3 0.054 0.286 0.516 1
F4 0.714 0.946 0.984 1
F5 0.340 0.660 0.250 1
F6 0.660 0.340 0.750 1
F7 0.895 0.323 0.210 1
F8 0.677 0.105 0.290 1
F9 0.105 0.677 0.790 1
F10 0.323 0.895 0.710 1
F11 0.055 0.800 0.079 1
F12 0.200 0.945 0.421 1
F13 0.945 0.200 0.921 1
F14 0.800 0.055 0.579 1
```

(4)
A plane-wave DFT calculation with PBE-GGA was carried out for UH2O4 after structural relaxation.

For the MP2020-corrected energy, the calculation gives -7.905 eV per atom. The value obtained for the energy above the most stable polymorph in this dataset is 81.7 meV per atom.

Structure (CIF):
```
data_UH2O4
_chemical_formula_sum 'U1 H2 O4'
_space_group_name_H-M_alt 'P 1'
_space_group_IT_number 1
_space_group_name_Hall 'P 1'
_cell_length_a 6.162
_cell_length_b 6.086
_cell_length_c 4.162
_cell_angle_alpha 71.12
_cell_angle_beta 69.15
_cell_angle_gamma 39.73
loop_
_atom_site_label
_atom_site_fract_x
_atom_site_fract_y
_atom_site_fract_z
_atom_site_occupancy
U1 0.003 0.997 0.997 1
H1 0.394 0.086 0.606 1
H2 0.914 0.606 0.086 1
O1 0.200 0.192 0.800 1
O2 0.808 0.800 0.192 1
O3 0.999 0.001 0.503 1
O4 0.497 0.503 0.001 1
```

(5)
A plane-wave DFT calculation with PBE-GGA was carried out for NaTi3F7 after structural relaxation.

For the MP2020-corrected energy, the calculation gives -6.435 eV per atom.

Structure (CIF):
```
data_NaTi3F7
_chemical_formula_sum 'Na2 Ti6 F14'
_space_group_name_H-M_alt 'P 1'
_space_group_IT_number 1
_space_group_name_Hall 'P 1'
_cell_length_a 7.273
_cell_length_b 7.273
_cell_length_c 7.688
_cell_angle_alpha 58.79
_cell_angle_beta 58.79
_cell_angle_gamma 60.09
loop_
_atom_site_label
_atom_site_fract_x
_atom_site_fract_y
_atom_site_fract_z
_atom_site_occupancy
Na1 0.500 0.500 0.000 1
Na2 0.500 0.500 0.500 1
Ti1 0.500 0.000 0.000 1
Ti2 0.000 0.500 0.500 1
Ti3 0.000 0.000 0.500 1
Ti4 0.000 0.000 0.000 1
Ti5 0.000 0.500 0.000 1
Ti6 0.500 0.000 0.500 1
F1 0.863 0.137 0.250 1
F2 0.137 0.863 0.750 1
F3 0.357 0.339 0.425 1
F4 0.661 0.643 0.075 1
F5 0.643 0.661 0.575 1
F6 0.339 0.357 0.925 1
F7 0.373 0.957 0.829 1
F8 0.043 0.627 0.671 1
F9 0.145 0.689 0.179 1
F10 0.311 0.855 0.321 1
F11 0.855 0.311 0.821 1
F12 0.689 0.145 0.679 1
F13 0.957 0.373 0.329 1
F14 0.627 0.043 0.171 1
```

(6)
A plane-wave DFT calculation with PBE-GGA was carried out for Co4N after structural relaxation.

For the MP2020-corrected energy, the calculation gives -7.344 eV per atom.

Structure (CIF):
```
data_Co4N
_chemical_formula_sum 'Co4 N1'
_space_group_name_H-M_alt 'P 1'
_space_group_IT_number 1
_space_group_name_Hall 'P 1'
_cell_length_a 3.725
_cell_length_b 3.725
_cell_length_c 3.725
_cell_angle_alpha 90.00
_cell_angle_beta 90.00
_cell_angle_gamma 90.00
loop_
_atom_site_label
_atom_site_fract_x
_atom_site_fract_y
_atom_site_fract_z
_atom_site_occupancy
Co1 0.500 0.000 0.000 1
Co2 0.000 0.500 0.000 1
Co3 0.000 0.000 0.500 1
Co4 0.500 0.500 0.500 1
N1 0.000 0.000 0.000 1
```

(7)
A plane-wave DFT calculation with PBE-GGA was carried out for LaNiGe2 after structural relaxation.

Structure (CIF):
```
data_LaNiGe2
_chemical_formula_sum 'La2 Ni2 Ge4'
_space_group_name_H-M_alt 'P 1'
_space_group_IT_number 1
_space_group_name_Hall 'P 1'
_cell_length_a 8.757
_cell_length_b 8.757
_cell_length_c 4.270
_cell_angle_alpha 90.00
_cell_angle_beta 90.00
_cell_angle_gamma 151.42
loop_
_atom_site_label
_atom_site_fract_x
_atom_site_fract_y
_atom_site_fract_z
_atom_site_occupancy
La1 0.391 0.609 0.250 1
La2 0.609 0.391 0.750 1
Ni1 0.818 0.182 0.750 1
Ni2 0.182 0.818 0.250 1
Ge1 0.750 0.250 0.250 1
Ge2 0.250 0.750 0.750 1
Ge3 0.957 0.043 0.750 1
Ge4 0.043 0.957 0.250 1
```

(8)
A plane-wave DFT calculation with PBE-GGA was carried out for Li2Ge3O8 after structural relaxation.

For the MP2020-corrected energy, the calculation gives -6.296 eV per atom.

Structure (CIF):
```
data_Li2Ge3O8
_chemical_formula_sum 'Li4 Ge6 O16'
_space_group_name_H-M_alt 'P 1'
_space_group_IT_number 1
_space_group_name_Hall 'P 1'
_cell_length_a 7.892
_cell_length_b 7.892
_cell_length_c 5.160
_cell_angle_alpha 76.53
_cell_angle_beta 76.53
_cell_angle_gamma 98.32
loop_
_atom_site_label
_atom_site_fract_x
_atom_site_fract_y
_atom_site_fract_z
_atom_site_occupancy
Li1 0.560 0.440 0.750 1
Li2 0.440 0.560 0.250 1
Li3 0.834 0.166 0.750 1
Li4 0.166 0.834 0.250 1
Ge1 0.871 0.721 0.890 1
Ge2 0.279 0.129 0.610 1
Ge3 0.129 0.279 0.110 1
Ge4 0.721 0.871 0.390 1
Ge5 0.298 0.702 0.750 1
Ge6 0.702 0.298 0.250 1
O1 0.213 0.605 0.499 1
O2 0.395 0.787 0.001 1
O3 0.787 0.395 0.501 1
O4 0.605 0.213 0.999 1
O5 0.100 0.197 0.474 1
O6 0.803 0.900 0.026 1
O7 0.900 0.803 0.526 1
O8 0.197 0.100 0.974 1
O9 0.691 0.534 0.030 1
O10 0.466 0.309 0.470 1
O11 0.309 0.466 0.970 1
O12 0.534 0.691 0.530 1
O13 0.932 0.305 0.020 1
O14 0.695 0.068 0.480 1
O15 0.068 0.695 0.980 1
O16 0.305 0.932 0.520 1
```

| no. | formation energy from the elements (kJ/mol of formula units) | raw total energy (eV per atom) |
| --- | --- | --- |
| 1 | -2215 | -5.04 |
| 2 | -10047 | -6.53 |
| 3 | -3661 | -5.96 |
| 4 | -1685 | -7.51 |
| 5 | -3124 | -6.14 |
| 6 | 5 | -7.27 |
| 7 | -300 | -5.77 |
| 8 | -2371 | -5.87 |